Material: NaMg14WO16
Method: DFT, PBE with a Hubbard U
State: optimized geometry

a b c (Å): 8.5943 8.6695 4.3110
angles (deg): 90.00 90.00 90.00
Last column: nearest neighbours and their distance in Å.
Fractional coordinates of all 32 atoms:
1 Na 0.0000 0.0000 0.0000  6 O 2.16-2.28
2 O 0.2543 0.5000 0.0000  5 Mg 2.11-2.24, 1 W 2.19
3 Mg 0.7427 0.5000 0.5000  6 O 2.09-2.21
4 O 0.7457 0.5000 0.0000  5 Mg 2.11-2.24, 1 W 2.19
5 O 0.0000 0.0000 0.5000  4 Mg 2.04-2.13, 2 Na 2.16
6 Mg 0.0000 0.2355 0.5000  5 O 2.04-2.16
7 Mg 0.7476 0.2415 0.0000  6 O 2.10-2.24
8 W 0.0000 0.5000 0.0000  6 O 2.12-2.19
9 O 0.0000 0.5000 0.5000  2 W 2.16, 4 Mg 2.21-2.29
10 O 0.2490 0.7476 0.5000  6 Mg 2.15-2.19
11 O 0.5000 0.0000 0.5000  6 Mg 2.14-2.17
12 O 0.7510 0.2524 0.5000  6 Mg 2.15-2.19
13 Mg 0.2524 0.7585 0.0000  6 O 2.10-2.24
14 O 0.5000 0.2545 0.0000  6 Mg 2.13-2.21
15 Mg 0.7523 0.0000 0.5000  6 O 2.13-2.19
16 Mg 0.5000 0.5000 0.0000  6 O 2.11-2.16
17 O 0.7510 0.7476 0.5000  6 Mg 2.15-2.19
18 Mg 0.0000 0.7645 0.5000  5 O 2.04-2.16
19 Mg 0.5000 0.0000 0.0000  6 O 2.02-2.21
20 O 0.5000 0.7455 0.0000  6 Mg 2.13-2.21
21 O 0.0000 0.7448 0.0000  1 W 2.12, 4 Mg 2.16-2.17, 1 Na 2.21
22 Mg 0.7476 0.7585 0.0000  6 O 2.10-2.24
23 Mg 0.2477 0.0000 0.5000  6 O 2.13-2.19
24 Mg 0.2524 0.2415 0.0000  6 O 2.10-2.24
25 O 0.2653 0.0000 0.0000  5 Mg 2.02-2.16
26 O 0.7347 0.0000 0.0000  5 Mg 2.02-2.16
27 O 0.2490 0.2524 0.5000  6 Mg 2.15-2.19
28 O 0.5000 0.5000 0.5000  6 Mg 2.09-2.19
29 Mg 0.2573 0.5000 0.5000  6 O 2.09-2.21
30 Mg 0.5000 0.7528 0.5000  6 O 2.14-2.19
31 Mg 0.5000 0.2472 0.5000  6 O 2.14-2.19
32 O 0.0000 0.2552 0.0000  1 W 2.12, 4 Mg 2.16-2.17, 1 Na 2.21

Values from the calculation:
- Symmetry: Pmmm, No. 47
- Relative energy among the computed polymorphs: 0 meV/atom
- Energy of formation from the pure elements: -8762.0 kJ/mol of formula units
- Crystal system: orthorhombic



Material: NaMg14WO16
Method: DFT, PBE with a Hubbard U
State: optimized geometry

a b c (Å): 8.6147 8.6147 4.3120
angles (deg): 90.00 90.00 90.00
Last column: nearest neighbours and their distance in Å.
Fractional coordinates of all 32 atoms:
1 O 0.7477 0.2523 0.5000  6 Mg 2.14-2.17
2 O 0.7477 0.7477 0.5000  6 Mg 2.14-2.17
3 O 0.0000 0.0000 0.5000  4 Mg 2.11, 2 Na 2.16
4 Mg 0.5000 0.2395 0.5000  6 O 2.06-2.24
5 Mg 0.0000 0.7553 0.5000  6 O 2.11-2.20
6 O 0.2487 0.5000 0.0000  5 Mg 2.14-2.22, 1 W 2.17
7 Mg 0.5000 0.7605 0.5000  6 O 2.06-2.24
8 Na 0.0000 0.0000 0.0000  6 O 2.16-2.28
9 O 0.5000 0.5000 0.5000  2 W 2.16, 4 Mg 2.24
10 Mg 0.7553 0.0000 0.5000  6 O 2.11-2.20
11 O 0.0000 0.7350 0.0000  5 Mg 2.02-2.16
12 O 0.2523 0.2523 0.5000  6 Mg 2.14-2.17
13 Mg 0.7605 0.5000 0.5000  6 O 2.06-2.24
14 O 0.2523 0.7477 0.5000  6 Mg 2.14-2.17
15 Mg 0.0000 0.5000 0.0000  6 O 2.02-2.16
16 Mg 0.2422 0.2422 0.0000  6 O 2.10-2.22
17 Mg 0.0000 0.2447 0.5000  6 O 2.11-2.20
18 O 0.5000 0.7513 0.0000  5 Mg 2.14-2.22, 1 W 2.17
19 Mg 0.7578 0.7578 0.0000  6 O 2.10-2.22
20 W 0.5000 0.5000 0.0000  6 O 2.16-2.17
21 O 0.7350 0.0000 0.0000  5 Mg 2.02-2.16
22 Mg 0.7578 0.2422 0.0000  6 O 2.10-2.22
23 O 0.7513 0.5000 0.0000  5 Mg 2.14-2.22, 1 W 2.17
24 Mg 0.2395 0.5000 0.5000  6 O 2.06-2.24
25 O 0.5000 0.0000 0.5000  6 Mg 2.06-2.20
26 Mg 0.5000 0.0000 0.0000  6 O 2.02-2.16
27 O 0.5000 0.2487 0.0000  5 Mg 2.14-2.22, 1 W 2.17
28 Mg 0.2447 0.0000 0.5000  6 O 2.11-2.20
29 O 0.0000 0.2650 0.0000  5 Mg 2.02-2.16
30 O 0.0000 0.5000 0.5000  6 Mg 2.06-2.20
31 Mg 0.2422 0.7578 0.0000  6 O 2.10-2.22
32 O 0.2650 0.0000 0.0000  5 Mg 2.02-2.16

Values from the calculation:
- Symmetry: P4/mmm, No. 123
- Relative energy among the computed polymorphs: 2 meV/atom
- Energy of formation from the pure elements: -8754.3 kJ/mol of formula units
- Crystal system: tetragonal



Material: Na3Mg2W3O12
Method: DFT, PBE with a Hubbard U
State: optimized geometry

a b c (Å): 9.1769 9.1769 7.2667
angles (deg): 74.61 74.61 95.68
Last column: nearest neighbours and their distance in Å.
Fractional coordinates of all 40 atoms:
1 O 0.7237 0.3411 0.0309  1 W 1.91, 1 Mg 2.09
2 O 0.7940 0.9665 0.8048  1 W 1.78
3 O 0.8517 0.5013 0.6179  1 W 1.82
4 O 0.6482 0.6585 0.4041  1 W 1.83
5 Na 0.2353 0.7647 0.2500  6 O 2.34-2.45
6 O 0.2420 0.9794 0.7751  1 W 1.88, 1 Mg 2.06
7 O 0.4987 0.1483 0.8821  1 W 1.82
8 O 0.2763 0.6589 0.9691  1 W 1.91, 1 Mg 2.09
9 O 0.3415 0.3518 0.0959  1 W 1.83
10 O 0.5409 0.9048 0.6590  1 W 1.85
11 O 0.9794 0.2420 0.2751  1 W 1.88, 1 Mg 2.06
12 O 0.7580 0.0206 0.2249  1 W 1.88, 1 Mg 2.06
13 Mg 0.4454 0.1326 0.6267  5 O 2.06-2.17
14 O 0.4591 0.0952 0.3410  1 W 1.85
15 O 0.5013 0.8517 0.1179  1 W 1.82
16 O 0.6585 0.6482 0.9041  1 W 1.83
17 O 0.3411 0.7237 0.5309  1 W 1.91, 1 Mg 2.09
18 Na 0.4698 0.5302 0.7500  6 O 2.50-2.64
19 O 0.3518 0.3415 0.5959  1 W 1.83
20 O 0.9665 0.7940 0.3048  1 W 1.78
21 W 0.8420 0.6145 0.3751  4 O 1.78-1.85
22 W 0.1580 0.3855 0.6249  4 O 1.78-1.85
23 Mg 0.5546 0.8674 0.3733  5 O 2.06-2.17
24 Mg 0.8674 0.5546 0.8733  5 O 2.06-2.17
25 O 0.0206 0.7580 0.7249  1 W 1.88, 1 Mg 2.06
26 O 0.1483 0.4987 0.3821  1 W 1.82
27 O 0.0952 0.4591 0.8410  1 W 1.85
28 W 0.7800 0.2200 0.2500  4 O 1.88-1.91
29 Mg 0.1326 0.4454 0.1267  5 O 2.06-2.17
30 W 0.6145 0.8420 0.8751  4 O 1.78-1.85
31 Na 0.7647 0.2353 0.7500  6 O 2.34-2.45
32 O 0.9048 0.5409 0.1590  1 W 1.85
33 Na 0.0000 0.0000 0.0000  6 O 2.42-2.69
34 O 0.0335 0.2060 0.6952  1 W 1.78
35 O 0.6589 0.2763 0.4691  1 W 1.91, 1 Mg 2.09
36 Na 0.0000 0.0000 0.5000  6 O 2.42-2.69
37 Na 0.5302 0.4698 0.2500  6 O 2.50-2.64
38 W 0.2200 0.7800 0.7500  4 O 1.88-1.91
39 W 0.3855 0.1580 0.1249  4 O 1.78-1.85
40 O 0.2060 0.0335 0.1952  1 W 1.78

Values from the calculation:
- Symmetry: C2/c, No. 15
- Energy of formation from the pure elements: -4476.2 kJ/mol of formula units
- Crystal system: monoclinic



| no. | total energy (Ry per atom) |
| --- | --- |
| 1 | -0.4392 |
| 2 | -0.4390 |
| 3 | -0.4787 |